No. 1
# Li5AuO4 (PBE, optimized geometry)
# total energy = -4.71 eV per atom
# energy relative to the lowest polymorph listed for this composition = 83 meV per atom
# size of the total moment = 0.0 μB/cell
# energy of formation = -17.22 eV/f.u.
data_Li5AuO4
_cell_length_a 3.608
_cell_length_b 5.382
_cell_length_c 5.558
_cell_angle_alpha 79.96
_cell_angle_beta 73.24
_cell_angle_gamma 71.32
_symmetry_space_group_name_H-M 'P -1'
_symmetry_Int_Tables_number 2
_symmetry_space_group_name_Hall '-P 1'
loop_
_atom_site_label
_atom_site_type_symbol
_atom_site_fract_x
_atom_site_fract_y
_atom_site_fract_z
Li1 Li 0.000 0.000 0.000
Li2 Li 0.185 0.037 0.604
Li3 Li 0.318 0.338 0.033
Au1 Au 0.500 0.500 0.500
O1 O 0.235 0.688 0.822
O2 O 0.415 0.859 0.287



No. 2
# UNi2As2 (PBE, optimized geometry)
# total energy = -6.88 eV per atom
# size of the total moment = 0.4 μB/cell
# energy of formation = -2.24 eV/f.u.
data_UNi2As2
_cell_length_a 4.158
_cell_length_b 4.158
_cell_length_c 9.229
_cell_angle_alpha 90.00
_cell_angle_beta 90.00
_cell_angle_gamma 90.00
_symmetry_space_group_name_H-M 'P 4/n m m'
_symmetry_Int_Tables_number 129
loop_
_symmetry_equiv_pos_as_xyz
'x,y,z'
'-x,-y,-z'
'-y+1/2,x,z'
'y+1/2,-x,-z'
'-x+1/2,-y+1/2,z'
'x+1/2,y+1/2,-z'
'y,-x+1/2,z'
'-y,x+1/2,-z'
'x+1/2,-y,-z'
'-x+1/2,y,z'
'-y,-x,-z'
'y,x,z'
'-x,y+1/2,-z'
'x,-y+1/2,z'
'y+1/2,x+1/2,-z'
'-y+1/2,-x+1/2,z'
loop_
_atom_site_label
_atom_site_type_symbol
_atom_site_fract_x
_atom_site_fract_y
_atom_site_fract_z
U1 U 0.250 0.250 0.248
Ni1 Ni 0.250 0.250 0.619
Ni2 Ni 0.250 0.750 0.000
As1 As 0.250 0.250 0.869
As2 As 0.250 0.750 0.500



No. 3
# Y4Rh6Pb19 (PBE, optimized geometry)
# total energy = -4.85 eV per atom
# size of the total moment = 0.0 μB/cell
# energy of formation = 0.09 eV/f.u.
data_Y4Rh6Pb19
_cell_length_a 11.745
_cell_length_b 11.745
_cell_length_c 11.745
_cell_angle_alpha 90.00
_cell_angle_beta 90.00
_cell_angle_gamma 90.00
_symmetry_space_group_name_H-M 'I 2 3'
_symmetry_Int_Tables_number 197
_symmetry_space_group_name_Hall 'I 2 2 3'
loop_
_atom_site_label
_atom_site_type_symbol
_atom_site_fract_x
_atom_site_fract_y
_atom_site_fract_z
Y1 Y 0.175 0.175 0.825
Rh1 Rh 0.000 0.380 0.500
Pb1 Pb 0.000 0.000 0.000
Pb2 Pb 0.000 0.000 0.300
Pb3 Pb 0.047 0.314 0.281



No. 4
# NaLaAlPS2O12 (PBE, optimized geometry)
# total energy = -6.80 eV per atom
# size of the total moment = 0.0 μB/cell
# energy of formation = -47.60 eV/f.u.
data_NaLaAlPS2O12
_cell_length_a 8.770
_cell_length_b 8.862
_cell_length_c 23.466
_cell_angle_alpha 90.14
_cell_angle_beta 90.28
_cell_angle_gamma 119.63
_symmetry_space_group_name_H-M 'P 1'
_symmetry_Int_Tables_number 1
_symmetry_space_group_name_Hall 'P 1'
loop_
_atom_site_label
_atom_site_type_symbol
_atom_site_fract_x
_atom_site_fract_y
_atom_site_fract_z
Na1 Na 0.000 0.000 0.000
Na2 Na 0.012 0.994 0.523
Na3 Na 0.337 0.642 0.178
Na4 Na 0.359 0.656 0.677
Na5 Na 0.683 0.303 0.829
Na6 Na 0.725 0.339 0.342
La1 La 0.024 0.986 0.154
La2 La 0.028 0.987 0.367
La3 La 0.342 0.640 0.328
La4 La 0.365 0.654 0.025
La5 La 0.697 0.311 0.976
La6 La 0.707 0.313 0.511
Al1 Al 0.018 0.972 0.668
Al2 Al 0.026 0.985 0.852
Al3 Al 0.359 0.658 0.535
Al4 Al 0.371 0.672 0.819
Al5 Al 0.648 0.249 0.693
Al6 Al 0.710 0.324 0.193
P1 P 0.007 0.659 0.256
P2 P 0.079 0.356 0.443
P3 P 0.305 0.977 0.760
P4 P 0.668 0.932 0.911
P5 P 0.693 0.992 0.601
P6 P 0.986 0.333 0.095
S1 S 0.006 0.634 0.602
S2 S 0.013 0.266 0.756
S3 S 0.079 0.676 0.909
S4 S 0.334 0.350 0.907
S5 S 0.352 0.937 0.442
S6 S 0.359 0.296 0.255
S7 S 0.378 0.303 0.605
S8 S 0.425 0.030 0.098
S9 S 0.651 0.655 0.441
S10 S 0.675 0.584 0.097
S11 S 0.710 0.999 0.256
S12 S 0.732 0.690 0.761
O1 O 0.004 0.748 0.313
O2 O 0.007 0.170 0.087
O3 O 0.030 0.777 0.205
O4 O 0.030 0.807 0.617
O5 O 0.045 0.179 0.708
O6 O 0.064 0.175 0.446
O7 O 0.069 0.837 0.903
O8 O 0.158 0.619 0.255
O9 O 0.159 0.430 0.384
O10 O 0.162 0.689 0.966
O11 O 0.164 0.444 0.763
O12 O 0.168 0.497 0.100
O13 O 0.176 0.175 0.902
O14 O 0.179 0.653 0.863
O15 O 0.184 0.650 0.593
O16 O 0.184 0.936 0.445
O17 O 0.187 0.474 0.494
O18 O 0.187 0.948 0.708
O19 O 0.203 0.155 0.619
O20 O 0.224 0.017 0.812
O21 O 0.236 0.218 0.207
O22 O 0.245 0.003 0.092
O23 O 0.275 0.205 0.309
O24 O 0.318 0.416 0.964
O25 O 0.334 0.817 0.768
O26 O 0.343 0.466 0.861
O27 O 0.358 0.860 0.386
O28 O 0.366 0.840 0.491
O29 O 0.373 0.467 0.601
O30 O 0.409 0.482 0.258
O31 O 0.417 0.860 0.105
O32 O 0.430 0.261 0.550
O33 O 0.493 0.139 0.749
O34 O 0.495 0.335 0.906
O35 O 0.500 0.117 0.441
O36 O 0.513 0.140 0.148
O37 O 0.514 0.107 0.044
O38 O 0.514 0.327 0.651
O39 O 0.517 0.281 0.247
O40 O 0.520 0.607 0.105
O41 O 0.525 0.813 0.589
O42 O 0.528 0.857 0.259
O43 O 0.539 0.822 0.864
O44 O 0.544 0.653 0.491
O45 O 0.551 0.672 0.767
O46 O 0.574 0.664 0.386
O47 O 0.602 0.848 0.970
O48 O 0.645 0.092 0.646
O49 O 0.649 0.487 0.043
O50 O 0.666 0.497 0.440
O51 O 0.685 0.114 0.909
O52 O 0.692 0.495 0.147
O53 O 0.711 0.515 0.754
O54 O 0.715 0.167 0.250
O55 O 0.752 0.098 0.546
O56 O 0.792 0.967 0.207
O57 O 0.807 0.012 0.310
O58 O 0.813 0.799 0.710
O59 O 0.826 0.813 0.445
O60 O 0.833 0.486 0.250
O61 O 0.834 0.757 0.089
O62 O 0.846 0.779 0.811
O63 O 0.847 0.277 0.745
O64 O 0.848 0.970 0.620
O65 O 0.852 0.951 0.904
O66 O 0.876 0.316 0.148
O67 O 0.894 0.338 0.440
O68 O 0.900 0.523 0.908
O69 O 0.903 0.348 0.038
O70 O 0.909 0.501 0.645
O71 O 0.912 0.590 0.546
O72 O 0.983 0.160 0.809



No. 5
# Bi3Mo (PBE, optimized geometry)
# total energy = -5.29 eV per atom
# size of the total moment = 0.0 μB/cell
# energy of formation = 1.35 eV/f.u.
data_Bi3Mo
_cell_length_a 7.372
_cell_length_b 4.915
_cell_length_c 12.313
_cell_angle_alpha 90.00
_cell_angle_beta 99.20
_cell_angle_gamma 90.00
_symmetry_space_group_name_H-M 'P 1 21/m 1'
_symmetry_Int_Tables_number 11
_symmetry_space_group_name_Hall '-P 2yb'
loop_
_atom_site_label
_atom_site_type_symbol
_atom_site_fract_x
_atom_site_fract_y
_atom_site_fract_z
Bi1 Bi 0.073 0.250 0.374
Bi2 Bi 0.157 0.750 0.208
Bi3 Bi 0.240 0.250 0.047
Bi4 Bi 0.300 0.750 0.862
Bi5 Bi 0.338 0.250 0.682
Bi6 Bi 0.342 0.750 0.478
Mo1 Mo 0.413 0.250 0.292
Mo2 Mo 0.472 0.750 0.099



No. 6
# Hf5Ga3 (PBE, optimized geometry)
# total energy = -7.80 eV per atom
# energy of formation = -3.53 eV/f.u.
data_Hf5Ga3
_cell_length_a 8.0165
_cell_length_b 8.0165
_cell_length_c 5.6962
_cell_angle_alpha 90.00
_cell_angle_beta 90.00
_cell_angle_gamma 120.00
_symmetry_space_group_name_H-M 'P 63/m c m'
_symmetry_Int_Tables_number 193
_symmetry_space_group_name_Hall '-P 6c 2'
loop_
_atom_site_label
_atom_site_type_symbol
_atom_site_fract_x
_atom_site_fract_y
_atom_site_fract_z
Hf1 Hf 0.0000 0.2425 0.2500
Hf2 Hf 0.3333 0.6667 0.0000
Ga1 Ga 0.0000 0.3916 0.7500



No. 7
# KS2O3 (PBE, optimized geometry)
# total energy = -5.40 eV per atom
# size of the total moment = 0.0 μB/cell
# energy of formation = -10.26 eV/f.u.
data_KS2O3
_cell_length_a 22.505
_cell_length_b 8.302
_cell_length_c 10.311
_cell_angle_alpha 90.00
_cell_angle_beta 102.09
_cell_angle_gamma 90.00
_symmetry_space_group_name_H-M 'C 1 c 1'
_symmetry_Int_Tables_number 9
_symmetry_space_group_name_Hall 'C -2yc'
loop_
_atom_site_label
_atom_site_type_symbol
_atom_site_fract_x
_atom_site_fract_y
_atom_site_fract_z
K1 K 0.000 0.066 0.000
K2 K 0.154 0.420 0.053
K3 K 0.203 0.110 0.677
K4 K 0.294 0.339 0.388
S1 S 0.010 0.454 0.178
S2 S 0.033 0.317 0.341
S3 S 0.055 0.316 0.734
S4 S 0.119 0.200 0.337
S5 S 0.274 0.169 0.007
S6 S 0.364 0.367 0.717
S7 S 0.370 0.209 0.017
S8 S 0.379 0.145 0.834
O1 O 0.015 0.204 0.649
O2 O 0.056 0.298 0.876
O3 O 0.115 0.068 0.429
O4 O 0.116 0.333 0.703
O5 O 0.117 0.151 0.199
O6 O 0.168 0.316 0.385
O7 O 0.242 0.295 0.920
O8 O 0.260 0.006 0.954
O9 O 0.269 0.187 0.147
O10 O 0.298 0.384 0.669
O11 O 0.391 0.497 0.806
O12 O 0.396 0.328 0.610



No. 8
# Ti13Pb3 (PBE, optimized geometry)
# total energy = -7.14 eV per atom
# energy of formation = -0.45 eV/f.u.
data_Ti13Pb3
_cell_length_a 4.792
_cell_length_b 5.990
_cell_length_c 10.314
_cell_angle_alpha 90.00
_cell_angle_beta 90.00
_cell_angle_gamma 90.00
_symmetry_space_group_name_H-M 'P m m 2'
_symmetry_Int_Tables_number 25
_symmetry_space_group_name_Hall 'P 2 -2'
loop_
_atom_site_label
_atom_site_type_symbol
_atom_site_fract_x
_atom_site_fract_y
_atom_site_fract_z
Ti1 Ti 0.000 0.000 0.000
Ti2 Ti 0.000 0.000 0.511
Ti3 Ti 0.000 0.232 0.751
Ti4 Ti 0.000 0.253 0.270
Ti5 Ti 0.000 0.500 0.504
Ti6 Ti 0.500 0.000 0.673
Ti7 Ti 0.500 0.241 0.924
Ti8 Ti 0.500 0.246 0.427
Ti9 Ti 0.500 0.500 0.185
Pb1 Pb 0.000 0.500 0.007
Pb2 Pb 0.500 0.000 0.174
Pb3 Pb 0.500 0.500 0.678



No. 9
# Na2PdS8O26 (PBE, optimized geometry)
# total energy = -5.81 eV per atom
# size of the total moment = 0.0 μB/cell
# energy of formation = -63.32 eV/f.u.
data_Na2PdS8O26
_cell_length_a 7.245
_cell_length_b 16.356
_cell_length_c 9.613
_cell_angle_alpha 90.00
_cell_angle_beta 101.15
_cell_angle_gamma 90.00
_symmetry_space_group_name_H-M 'P 1 21/c 1'
_symmetry_Int_Tables_number 14
_symmetry_space_group_name_Hall '-P 2ybc'
loop_
_atom_site_label
_atom_site_type_symbol
_atom_site_fract_x
_atom_site_fract_y
_atom_site_fract_z
Na1 Na 0.244 0.123 0.388
Pd1 Pd 0.500 0.000 0.000
S1 S 0.041 0.591 0.801
S2 S 0.207 0.150 0.961
S3 S 0.288 0.614 0.256
S4 S 0.341 0.707 0.797
O1 O 0.017 0.094 0.866
O2 O 0.106 0.629 0.170
O3 O 0.119 0.091 0.632
O4 O 0.137 0.680 0.842
O5 O 0.174 0.138 0.102
O6 O 0.182 0.529 0.830
O7 O 0.188 0.230 0.899
O8 O 0.278 0.560 0.378
O9 O 0.315 0.706 0.646
O10 O 0.343 0.704 0.357
O11 O 0.373 0.107 0.926
O12 O 0.447 0.602 0.189
O13 O 0.488 0.664 0.887



No. 10
# In4Bi2S9 (PBE, optimized geometry)
# total energy = -4.20 eV per atom
# energy of formation = -11.58 eV/f.u.
data_In4Bi2S9
_cell_length_a 11.321
_cell_length_b 3.978
_cell_length_c 16.534
_cell_angle_alpha 90.00
_cell_angle_beta 94.23
_cell_angle_gamma 90.00
_symmetry_space_group_name_H-M 'P 1 21/m 1'
_symmetry_Int_Tables_number 11
_symmetry_space_group_name_Hall '-P 2yb'
loop_
_atom_site_label
_atom_site_type_symbol
_atom_site_fract_x
_atom_site_fract_y
_atom_site_fract_z
In1 In 0.006 0.250 0.405
In2 In 0.010 0.250 0.788
In3 In 0.234 0.250 0.081
In4 In 0.358 0.750 0.316
Bi1 Bi 0.368 0.750 0.575
Bi2 Bi 0.396 0.750 0.902
S1 S 0.088 0.750 0.084
S2 S 0.121 0.750 0.742
S3 S 0.126 0.250 0.545
S4 S 0.133 0.750 0.341
S5 S 0.234 0.250 0.922
S6 S 0.353 0.250 0.218
S7 S 0.398 0.250 0.434
S8 S 0.407 0.250 0.684
S9 S 0.413 0.750 0.060



The lowest total energy belongs to which entry? Hf5Ga3



Which of these has the lowest energy of formation? Na2PdS8O26



total energy of number 9 (Na2PdS8O26)? -5.81 eV per atom